VOF | PBE+U | relaxed

Cell: 6.018 6.018 6.019 Å, 100.29 100.28 100.28°
Element x y z (fractional)
V: 0.670 0.853 0.398
V: 0.397 0.670 0.853
V: 0.853 0.397 0.670
V: 0.147 0.603 0.330
V: 0.603 0.330 0.147
V: 0.330 0.147 0.602
O: 0.426 0.823 0.584
O: 0.416 0.574 0.177
O: 0.177 0.416 0.574
O: 0.823 0.584 0.426
O: 0.584 0.426 0.823
O: 0.574 0.177 0.416
F: 0.907 0.073 0.668
F: 0.332 0.093 0.927
F: 0.927 0.332 0.093
F: 0.073 0.668 0.907
F: 0.668 0.907 0.073
F: 0.093 0.927 0.332

V = 206 Å³/cell
Electronic total energy = -128.9 eV for the cell shown
E_form = -2.80 eV/atom
Corrected total energy (MP2020 scheme) = -8.112 eV per atom

Mn5CrP6O24 | PBE+U | relaxed

Cell: 8.633 8.557 8.592 Å, 59.77 59.41 60.43°
Element x y z (fractional)
Mn: 0.998 0.003 0.999
Mn: 0.069 0.643 0.643
Mn: 0.503 0.502 0.496
Mn: 0.431 0.857 0.856
Mn: 0.932 0.353 0.358
Cr: 0.573 0.143 0.142
P: 0.250 0.250 0.544
P: 0.251 0.957 0.249
P: 0.250 0.540 0.959
P: 0.745 0.464 0.038
P: 0.753 0.037 0.749
P: 0.751 0.750 0.461
O: 0.067 0.115 0.300
O: 0.065 0.509 0.121
O: 0.066 0.300 0.524
O: 0.241 0.083 0.744
O: 0.432 0.195 0.384
O: 0.264 0.419 0.560
O: 0.241 0.933 0.085
O: 0.261 0.761 0.419
O: 0.565 0.622 0.999
O: 0.261 0.559 0.762
O: 0.764 0.269 0.049
O: 0.568 0.005 0.809
O: 0.432 0.989 0.193
O: 0.238 0.739 0.938
O: 0.723 0.450 0.234
O: 0.430 0.383 0.990
O: 0.741 0.233 0.580
O: 0.766 0.055 0.912
O: 0.733 0.585 0.449
O: 0.566 0.814 0.619
O: 0.767 0.915 0.265
O: 0.934 0.689 0.497
O: 0.932 0.501 0.882
O: 0.936 0.879 0.689

V = 447 Å³/cell
Electronic total energy = -267.2 eV for the cell shown
E_form = -2.43 eV/atom
Corrected total energy (MP2020 scheme) = -8.167 eV per atom

SrYCoO4 | PBE+U | relaxed

Cell: 5.342 8.597 8.636 Å, 79.72 71.98 71.90°
Element x y z (fractional)
Sr: 0.356 0.639 0.650
Sr: 0.855 0.398 0.891
Sr: 0.355 0.139 0.150
Sr: 0.856 0.898 0.391
Y: 0.135 0.602 0.123
Y: 0.639 0.375 0.346
Y: 0.137 0.102 0.623
Y: 0.640 0.876 0.846
Co: 0.495 0.256 0.753
Co: 0.002 0.998 0.997
Co: 0.495 0.756 0.253
Co: 0.002 0.498 0.497
O: 0.159 0.870 0.809
O: 0.668 0.551 0.120
O: 0.160 0.370 0.310
O: 0.665 0.052 0.619
O: 0.318 0.447 0.917
O: 0.826 0.159 0.189
O: 0.318 0.948 0.417
O: 0.826 0.659 0.689
O: 0.783 0.852 0.093
O: 0.241 0.625 0.384
O: 0.784 0.351 0.593
O: 0.241 0.124 0.884
O: 0.272 0.851 0.092
O: 0.750 0.625 0.385
O: 0.272 0.351 0.593
O: 0.750 0.125 0.885

V = 357 Å³/cell
Electronic total energy = -199.2 eV for the cell shown
E_form = -2.73 eV/atom
Corrected total energy (MP2020 scheme) = -7.741 eV per atom